# 1
! NaLaTiP2SO12 PBE-GGA optimized geometry; values from VASP
&SYSTEM
  ibrav = 0, nat = 108, ntyp = 6
/
ATOMIC_SPECIES
Na 22.99 Na.upf
La 138.91 La.upf
Ti 47.87 Ti.upf
P 30.97 P.upf
S 32.06 S.upf
O 16.00 O.upf
CELL_PARAMETERS angstrom
9.074 0.000 0.000
-4.537 8.081 0.188
0.000 0.564 23.330
ATOMIC_POSITIONS crystal
Na 0.981 0.985 0.492
Na 0.004 0.985 0.992
Na 0.648 0.318 0.825
Na 0.670 0.318 0.325
Na 0.315 0.651 0.159
Na 0.337 0.651 0.659
La 0.995 0.005 0.643
La 0.010 0.005 0.143
La 0.662 0.339 0.976
La 0.677 0.339 0.476
La 0.328 0.672 0.309
La 0.344 0.672 0.809
Ti 0.018 0.024 0.354
Ti 0.006 0.024 0.854
Ti 0.684 0.357 0.688
Ti 0.673 0.357 0.188
Ti 0.351 0.691 0.021
Ti 0.340 0.691 0.521
P 0.312 0.039 0.252
P 0.972 0.277 0.249
P 0.306 0.277 0.749
P 0.727 0.039 0.752
P 0.978 0.373 0.585
P 0.638 0.611 0.583
P 0.972 0.611 0.083
P 0.394 0.373 0.085
P 0.645 0.706 0.919
P 0.305 0.944 0.916
P 0.639 0.944 0.416
P 0.061 0.706 0.419
S 0.720 0.690 0.251
S 0.970 0.690 0.751
S 0.386 0.023 0.584
S 0.637 0.023 0.084
S 0.053 0.356 0.917
S 0.303 0.356 0.417
O 0.199 0.044 0.305
O 0.818 0.773 0.301
O 0.963 0.162 0.305
O 0.199 0.162 0.805
O 0.955 0.773 0.801
O 0.845 0.044 0.805
O 0.795 0.005 0.698
O 0.205 0.199 0.697
O 0.996 0.783 0.696
O 0.787 0.783 0.196
O 0.994 0.199 0.197
O 0.209 0.005 0.198
O 0.866 0.378 0.638
O 0.485 0.106 0.634
O 0.629 0.495 0.639
O 0.866 0.495 0.139
O 0.622 0.106 0.134
O 0.512 0.378 0.138
O 0.462 0.338 0.031
O 0.871 0.532 0.030
O 0.663 0.116 0.030
O 0.453 0.116 0.530
O 0.661 0.532 0.530
O 0.876 0.338 0.531
O 0.532 0.711 0.971
O 0.151 0.440 0.968
O 0.296 0.828 0.972
O 0.532 0.828 0.472
O 0.288 0.440 0.468
O 0.179 0.711 0.471
O 0.129 0.671 0.365
O 0.538 0.865 0.364
O 0.329 0.450 0.363
O 0.120 0.450 0.863
O 0.327 0.865 0.864
O 0.543 0.671 0.865
O 0.062 0.875 0.412
O 0.815 0.949 0.411
O 0.136 0.192 0.413
O 0.056 0.192 0.913
O 0.134 0.949 0.911
O 0.813 0.875 0.912
O 0.023 0.235 0.594
O 0.206 0.977 0.589
O 0.784 0.787 0.589
O 0.003 0.787 0.089
O 0.771 0.977 0.089
O 0.212 0.235 0.094
O 0.729 0.208 0.745
O 0.481 0.282 0.744
O 0.803 0.525 0.746
O 0.722 0.525 0.246
O 0.801 0.282 0.244
O 0.480 0.208 0.245
O 0.689 0.568 0.927
O 0.873 0.311 0.923
O 0.450 0.120 0.923
O 0.670 0.120 0.423
O 0.438 0.311 0.423
O 0.879 0.568 0.427
O 0.395 0.542 0.078
O 0.148 0.616 0.077
O 0.469 0.858 0.079
O 0.389 0.858 0.579
O 0.468 0.616 0.577
O 0.146 0.542 0.578
O 0.356 0.901 0.260
O 0.540 0.644 0.256
O 0.117 0.453 0.256
O 0.336 0.453 0.756
O 0.104 0.644 0.756
O 0.545 0.901 0.760
! - magnetization (μB/atom) = 0.000


# 2
! Gd4PdO7 PBE-GGA optimized geometry; values from VASP
&SYSTEM
  ibrav = 0, nat = 24, ntyp = 3
/
ATOMIC_SPECIES
Gd 157.25 Gd.upf
Pd 106.42 Pd.upf
O 16.00 O.upf
CELL_PARAMETERS angstrom
6.480 0.013 2.143
-0.074 6.724 2.531
-0.022 -0.057 7.900
ATOMIC_POSITIONS crystal
Gd 0.780 0.387 0.211
Gd 0.220 0.613 0.789
Gd 0.358 0.148 0.142
Gd 0.642 0.852 0.858
Gd 0.210 0.600 0.275
Gd 0.790 0.400 0.725
Gd 0.337 0.168 0.622
Gd 0.663 0.832 0.378
Pd 0.000 0.000 0.000
Pd 0.000 0.000 0.500
O 0.699 0.082 0.508
O 0.301 0.918 0.492
O 0.147 0.417 0.101
O 0.853 0.583 0.899
O 0.527 0.759 0.176
O 0.473 0.241 0.824
O 0.431 0.334 0.303
O 0.569 0.666 0.697
O 0.058 0.929 0.257
O 0.942 0.071 0.743
O 0.729 0.140 0.089
O 0.271 0.860 0.911
O 0.158 0.459 0.599
O 0.842 0.541 0.401
! - magnetization (μB/atom) = 2.333
! - crystal system = triclinic


# 3
! BaLaTaZnO6 PBE-GGA optimized geometry; values from VASP
&SYSTEM
  ibrav = 0, nat = 10, ntyp = 5
/
ATOMIC_SPECIES
Ba 137.33 Ba.upf
La 138.91 La.upf
Ta 180.95 Ta.upf
Zn 65.41 Zn.upf
O 16.00 O.upf
CELL_PARAMETERS angstrom
5.717 0.480 0.643
2.284 4.944 1.914
2.298 0.261 5.290
ATOMIC_POSITIONS crystal
Ba 0.750 0.750 0.750
La 0.250 0.250 0.250
Ta 0.500 0.500 0.500
Zn 0.000 0.000 0.000
O 0.744 0.256 0.256
O 0.256 0.256 0.744
O 0.256 0.744 0.256
O 0.744 0.256 0.744
O 0.744 0.744 0.256
O 0.256 0.744 0.744
! - magnetization (μB/atom) = 0.000
! - crystal system = cubic


Sequential E_tot output: -131.0 -131.5 -76.8 eV/f.u.